Here is HoMg2Sc after structural relaxation from the Materials Project database. Energies are from PBE.

Computed properties:
Volume, Å³ per atom: 25.1
Energy relative to the elements, eV/f.u.: -0.190

a = 5.218 Å, b = 5.218 Å, c = 5.218 Å
α = 60.00°, β = 60.00°, γ = 60.00°
Atoms (fractional coordinates):
Ho: 0.500 0.500 0.500
Sc: 0.000 0.000 0.000
Mg: 0.250 0.250 0.250
Mg: 0.750 0.750 0.750